(1)
## K3PrF6 (PBE)

Data for an optimized crystal structure of K3PrF6.

Cell: 6.8425 6.8425 6.8425 Å, 60.00 60.00 60.00°
Fractional positions:
K: 0.0000 0.0000 0.0000
K: 0.2500 0.2500 0.2500
K: 0.7500 0.7500 0.7500
Pr: 0.5000 0.5000 0.5000
F: 0.2629 0.2629 0.7371
F: 0.2629 0.7371 0.2629
F: 0.2629 0.7371 0.7371
F: 0.7371 0.2629 0.2629
F: 0.7371 0.2629 0.7371
F: 0.7371 0.7371 0.2629

Properties
- space group = No. 225
- final energy (eV/cell) = -51.22
- mass density (g cm⁻³) = 2.728

***

(2)
## TiAu (PBE)

Data for an optimized crystal structure of TiAu.

Cell: 3.2789 3.2789 3.2789 Å, 90.00 90.00 90.00°
Fractional positions:
Ti: 0.0000 0.0000 0.0000
Au: 0.5000 0.5000 0.5000

Properties
- space group = No. 221
- final energy (eV/cell) = -11.81
- mass density (g cm⁻³) = 11.532

***

(3)
## Re3PbS6 (PBE)

Data for an optimized crystal structure of Re3PbS6.

Cell: 9.4577 9.4577 11.8778 Å, 90.89 90.89 61.37°
Fractional positions:
Re: 0.1029 0.8971 0.5000
Re: 0.1831 0.8178 0.7133
Re: 0.2858 0.9943 0.6105
Re: 0.3093 0.5976 0.5526
Re: 0.4116 0.7735 0.4491
Re: 0.4908 0.6961 0.6644
Re: 0.5976 0.3093 0.0526
Re: 0.6961 0.4908 0.1644
Re: 0.7735 0.4116 0.9491
Re: 0.8178 0.1831 0.2133
Re: 0.8971 0.1029 0.0000
Re: 0.9943 0.2858 0.1105
Pb: 0.0396 0.5267 0.8040
Pb: 0.1833 0.6503 0.0804
Pb: 0.5267 0.0396 0.3040
Pb: 0.6503 0.1833 0.5804
S: 0.0049 0.0908 0.6559
S: 0.0261 0.7200 0.6006
S: 0.0318 0.8395 0.8910
S: 0.0511 0.2152 0.9148
S: 0.0908 0.0049 0.1559
S: 0.2152 0.0511 0.4148
S: 0.2333 0.6874 0.3611
S: 0.2478 0.2843 0.1578
S: 0.2843 0.2478 0.6578
S: 0.3215 0.3367 0.5054
S: 0.3367 0.3215 0.0054
S: 0.3585 0.9063 0.8031
S: 0.3806 0.5409 0.7491
S: 0.5005 0.5952 0.0119
S: 0.5409 0.3806 0.2491
S: 0.5586 0.7456 0.2742
S: 0.5681 0.8709 0.5620
S: 0.5952 0.5005 0.5119
S: 0.6874 0.2333 0.8611
S: 0.7200 0.0261 0.1006
S: 0.7456 0.5586 0.7742
S: 0.8395 0.0318 0.3910
S: 0.8709 0.5681 0.0620
S: 0.9063 0.3585 0.3031

Properties
- space group = No. 9
- final energy (eV/cell) = -283.40
- mass density (g cm⁻³) = 6.826

***

(4)
## CaZnGe2O6 (PBE)

Data for an optimized crystal structure of CaZnGe2O6.

Cell: 6.8826 6.8826 5.5130 Å, 101.56 101.56 82.89°
Fractional positions:
Ca: 0.1969 0.8031 0.7500
Ca: 0.8031 0.1969 0.2500
Zn: 0.4066 0.5934 0.2500
Zn: 0.5934 0.4066 0.7500
Ge: 0.1176 0.3138 0.7745
Ge: 0.3138 0.1176 0.2745
Ge: 0.6862 0.8824 0.7255
Ge: 0.8824 0.6862 0.2255
O: 0.1116 0.1714 0.0163
O: 0.1243 0.6032 0.3452
O: 0.1714 0.1116 0.5163
O: 0.2989 0.4842 0.8658
O: 0.3968 0.8757 0.1548
O: 0.4842 0.2989 0.3658
O: 0.5158 0.7011 0.6342
O: 0.6032 0.1243 0.8452
O: 0.7011 0.5158 0.1342
O: 0.8286 0.8884 0.4837
O: 0.8757 0.3968 0.6548
O: 0.8884 0.8286 0.9837

Properties
- space group = No. 15
- final energy (eV/cell) = -123.45
- mass density (g cm⁻³) = 4.612

***

(5)
## CaCdPb (PBE)

Data for an optimized crystal structure of CaCdPb.

Cell: 7.8723 7.8723 4.7912 Å, 90.00 90.00 120.00°
Fractional positions:
Ca: 0.0000 0.5759 0.0000
Ca: 0.4241 0.4241 0.0000
Ca: 0.5759 0.0000 0.0000
Cd: 0.0000 0.2510 0.5000
Cd: 0.2510 0.0000 0.5000
Cd: 0.7490 0.7490 0.5000
Pb: 0.0000 0.0000 0.0000
Pb: 0.3333 0.6667 0.5000
Pb: 0.6667 0.3333 0.5000

Properties
- space group = No. 189
- final energy (eV/cell) = -23.40
- mass density (g cm⁻³) = 6.968

***

(6)
## Co5Ge2N6 (PBE)

Data for an optimized crystal structure of Co5Ge2N6.

Cell: 6.1765 6.1765 11.6598 Å, 110.39 110.39 44.91°
Fractional positions:
Co: 0.0409 0.7735 0.5299
Co: 0.0963 0.9037 0.7500
Co: 0.2265 0.9591 0.9701
Co: 0.3266 0.4544 0.1492
Co: 0.4544 0.3266 0.6492
Co: 0.5456 0.6734 0.3508
Co: 0.6734 0.5456 0.8508
Co: 0.7735 0.0409 0.0299
Co: 0.9037 0.0963 0.2500
Co: 0.9591 0.2265 0.4701
Ge: 0.2429 0.4224 0.9167
Ge: 0.4224 0.2429 0.4167
Ge: 0.5776 0.7571 0.5833
Ge: 0.7571 0.5776 0.0833
N: 0.0918 0.1991 0.8567
N: 0.1991 0.0918 0.3567
N: 0.2012 0.2312 0.1027
N: 0.2312 0.2012 0.6027
N: 0.3395 0.5920 0.8514
N: 0.4080 0.6605 0.6486
N: 0.5920 0.3395 0.3514
N: 0.6605 0.4080 0.1486
N: 0.7688 0.7988 0.3973
N: 0.7988 0.7688 0.8973
N: 0.8009 0.9082 0.6433
N: 0.9082 0.8009 0.1433

Properties
- space group = No. 15
- final energy (eV/cell) = -178.06
- mass density (g cm⁻³) = 5.983